Record 1
Material: Li5W2O7
Method: DFT, PBE+U
State: optimized geometry

**DFT formation energy**: -2.2101 eV/atom
**Uncorrected energy**: -6.24 eV/atom
**Calculated volume**: 142.4 Å³/f.u.
**Mass density**: 5.999 g/cm³
**Total magnetic moment**: 6.0 Bohr magnetons per cell

```
data_Li5W2O7
_chemical_formula_sum 'Li10 W4 O14'
_symmetry_space_group_name_H-M 'P -1'
_symmetry_Int_Tables_number 2
_cell_length_a 5.455
_cell_length_b 6.300
_cell_length_c 9.435
_cell_angle_alpha 72.17
_cell_angle_beta 79.23
_cell_angle_gamma 67.76
loop_
_symmetry_equiv_pos_as_xyz
'x,y,z'
'-x,-y,-z'
loop_
_atom_site_label
_atom_site_type_symbol
_atom_site_fract_x
_atom_site_fract_y
_atom_site_fract_z
Li1 Li 0.004 0.295 0.005
Li2 Li 0.138 0.629 0.700
Li3 Li 0.269 0.955 0.433
Li4 Li 0.270 0.443 0.437
Li5 Li 0.429 0.351 0.140
W1 W 0.154 0.099 0.703
W2 W 0.435 0.810 0.143
O1 O 0.008 0.245 0.507
O2 O 0.119 0.081 0.218
O3 O 0.145 0.646 0.209
O4 O 0.296 0.456 0.929
O5 O 0.320 0.984 0.915
O6 O 0.391 0.301 0.652
O7 O 0.411 0.829 0.652
```

Record 2
Material: LiMn2P2H9O13
Method: DFT, PBE+U
State: optimized geometry

**DFT formation energy**: -1.8399 eV/atom
**Uncorrected energy**: -6.05 eV/atom
**Calculated volume**: 259.3 Å³/f.u.
**Mass density**: 2.535 g/cm³
**Total magnetic moment**: 16.0 Bohr magnetons per cell

```
data_LiMn2P2H9O13
_chemical_formula_sum 'Li2 Mn4 P4 H18 O26'
_symmetry_space_group_name_H-M 'P b a 2'
_symmetry_Int_Tables_number 32
_cell_length_a 9.064
_cell_length_b 10.163
_cell_length_c 5.629
_cell_angle_alpha 90.00
_cell_angle_beta 90.00
_cell_angle_gamma 90.00
loop_
_symmetry_equiv_pos_as_xyz
'x,y,z'
'-x,-y,z'
'-x+1/2,y+1/2,z'
'x+1/2,-y+1/2,z'
loop_
_atom_site_label
_atom_site_type_symbol
_atom_site_fract_x
_atom_site_fract_y
_atom_site_fract_z
Li1 Li 0.000 0.000 0.000
Mn1 Mn 0.152 0.396 0.924
P1 P 0.149 0.680 0.657
H1 H 0.000 0.500 0.256
H2 H 0.020 0.751 0.232
H3 H 0.150 0.211 0.265
H4 H 0.193 0.869 0.310
H5 H 0.242 0.022 0.312
O1 O 0.000 0.500 0.081
O2 O 0.021 0.345 0.667
O3 O 0.070 0.219 0.144
O4 O 0.180 0.800 0.825
O5 O 0.183 0.718 0.394
O6 O 0.205 0.951 0.208
O7 O 0.239 0.559 0.727
```